No. 1
{"formula": "NpH2", "functional": "GGA-PBE", "state": "relaxed", "rho_g_cm3": 11.108, "energy_ev_per_atom": -6.728, "delta_e_f_mev_per_atom": -269, "vol_a3_per_atom": 11.910, "cell": [[3.179, -0.979, -1.613], [0.446, 0.464, -3.641], [2.308, 2.597, -1.263]], "species": ["H", "H", "Np"], "fractional_positions": [[0.250, 0.250, 0.250], [0.750, 0.750, 0.750], [0.000, 0.000, 0.000]]}



No. 2
{"formula": "ThSiIr", "functional": "GGA-PBE", "state": "relaxed", "magmom_total_mub_per_cell": 0.0, "rho_g_cm3": 11.850, "energy_ev_per_atom": -8.092, "delta_e_f_mev_per_atom": -866, "vol_a3_per_atom": 21.129, "cell": [[4.022, 0.000, 0.000], [0.000, 4.156, 0.000], [2.011, 2.078, 7.583]], "species": ["Th", "Th", "Si", "Si", "Ir", "Ir"], "fractional_positions": [[0.997, 0.997, 0.006], [0.753, 0.253, 0.494], [0.166, 0.666, 0.669], [0.584, 0.584, 0.831], [0.428, 0.428, 0.143], [0.322, 0.822, 0.357]]}



No. 3
{"formula": "Ba3PN", "functional": "GGA-PBE", "state": "relaxed", "magmom_total_mub_per_cell": 0.0, "rho_g_cm3": 4.686, "energy_ev_per_atom": -4.466, "delta_e_f_mev_per_atom": -637, "vol_a3_per_atom": 32.389, "cell": [[-2.014, 3.195, -3.930], [-4.825, 0.075, 2.534], [1.540, 4.415, 2.800]], "species": ["P", "Ba", "Ba", "Ba", "N"], "fractional_positions": [[0.000, 0.000, 0.000], [0.000, 0.500, 0.500], [0.500, 0.500, 0.000], [0.500, 0.000, 0.500], [0.500, 0.500, 0.500]]}



No. 4
{"formula": "TeMoWSeS2", "functional": "GGA-PBE", "state": "relaxed", "magmom_total_mub_per_cell": 0.0, "rho_g_cm3": 5.134, "energy_ev_per_atom": -7.029, "delta_e_f_mev_per_atom": -744, "e_above_lowest_polymorph_mev_per_atom": 16, "vol_a3_per_atom": 29.673, "cell": [[1.653, -2.864, 0.000], [1.653, 2.864, 0.000], [0.000, 0.000, 37.606]], "species": ["S", "S", "S", "S", "Se", "Se", "Mo", "Mo", "Te", "Te", "W", "W"], "fractional_positions": [[0.000, 0.000, 0.322], [0.000, 0.000, 0.617], [0.000, 0.000, 0.698], [0.000, 0.000, 0.241], [0.333, 0.667, 0.425], [0.333, 0.667, 0.515], [0.333, 0.667, 0.282], [0.000, 0.000, 0.094], [0.333, 0.667, 0.145], [0.333, 0.667, 0.043], [0.333, 0.667, 0.658], [0.000, 0.000, 0.470]]}